Entry 1:
Below is a relaxed LiBH15C5NO3 crystal, with properties calculated at the PBE level.

Unit cell a=9.983 b=9.500 c=10.560 alpha=72.05 beta=90.00 gamma=90.00
Positions (direct):
Li1 0.679 0.144 0.817
Li2 0.179 0.356 0.183
Li3 0.321 0.856 0.183
Li4 0.821 0.644 0.817
B1 0.334 0.596 0.216
B2 0.834 0.904 0.784
B3 0.166 0.096 0.216
B4 0.666 0.404 0.784
H1 0.583 0.772 0.334
H2 0.917 0.272 0.334
H3 0.417 0.228 0.666
H4 0.397 0.665 0.281
H5 0.710 0.526 0.508
H6 0.638 0.003 0.602
H7 0.904 0.904 0.880
H8 0.994 0.104 0.598
H9 0.848 0.449 0.336
H10 0.189 0.935 0.828
H11 0.811 0.065 0.172
H12 0.019 0.643 0.034
H13 0.142 0.029 0.948
H14 0.138 0.497 0.398
H15 0.905 0.266 0.601
H16 0.983 0.151 0.748
H17 0.096 0.096 0.120
H18 0.701 0.185 0.520
H19 0.404 0.838 0.837
H20 0.904 0.662 0.163
H21 0.897 0.835 0.719
H22 0.772 0.337 0.824
H23 0.603 0.335 0.719
H24 0.152 0.551 0.664
H25 0.483 0.349 0.252
H26 0.006 0.896 0.402
H27 0.595 0.766 0.601
H28 0.404 0.596 0.120
H29 0.652 0.949 0.336
H30 0.096 0.338 0.837
H31 0.290 0.474 0.492
H32 0.596 0.404 0.880
H33 0.083 0.728 0.666
H34 0.790 0.026 0.508
H35 0.299 0.815 0.480
H36 0.596 0.162 0.163
H37 0.519 0.857 0.966
H38 0.862 0.503 0.602
H39 0.858 0.971 0.052
H40 0.210 0.974 0.492
H41 0.358 0.529 0.948
H42 0.228 0.663 0.176
H43 0.103 0.165 0.281
H44 0.095 0.734 0.399
H45 0.517 0.651 0.748
H46 0.728 0.837 0.824
H47 0.494 0.396 0.402
H48 0.201 0.315 0.480
H49 0.272 0.163 0.176
H50 0.506 0.604 0.598
H51 0.481 0.143 0.034
H52 0.348 0.051 0.664
H53 0.405 0.234 0.399
H54 0.642 0.471 0.052
H55 0.362 0.997 0.398
H56 0.017 0.849 0.252
H57 0.311 0.435 0.828
H58 0.799 0.685 0.520
H59 0.981 0.357 0.966
H60 0.689 0.565 0.172
C1 0.121 0.620 0.726
C2 0.062 0.408 0.898
C3 0.427 0.349 0.341
C4 0.270 0.930 0.424
C5 0.879 0.380 0.274
C6 0.230 0.430 0.424
C7 0.770 0.570 0.576
C8 0.562 0.092 0.102
C9 0.730 0.070 0.576
C10 0.621 0.880 0.274
C11 0.938 0.592 0.102
C12 0.073 0.849 0.341
C13 0.277 0.506 0.887
C14 0.723 0.494 0.113
C15 0.223 0.006 0.887
C16 0.573 0.651 0.659
C17 0.927 0.151 0.659
C18 0.379 0.120 0.726
C19 0.777 0.994 0.113
C20 0.438 0.908 0.898
N1 0.804 0.064 0.697
N2 0.696 0.564 0.697
N3 0.304 0.436 0.303
N4 0.196 0.936 0.303
O1 0.014 0.547 0.812
O2 0.769 0.356 0.199
O3 0.172 0.432 0.975
O4 0.986 0.453 0.188
O5 0.328 0.932 0.975
O6 0.486 0.047 0.812
O7 0.828 0.568 0.025
O8 0.269 0.144 0.801
O9 0.231 0.644 0.801
O10 0.672 0.068 0.025
O11 0.731 0.856 0.199
O12 0.514 0.953 0.188

Computed properties:
- Total energy: -5.307 eV per atom
- ρ: 1.1 g/cm³



Entry 2:
Below is a relaxed HoInNi4 crystal, with properties calculated at the PBE level.

Unit cell a=4.969 b=4.969 c=4.969 alpha=60.00 beta=60.00 gamma=60.00
Positions (direct):
Ho1 0.250 0.250 0.250
In1 0.000 0.000 0.000
Ni1 0.626 0.626 0.626
Ni2 0.626 0.626 0.123
Ni3 0.626 0.123 0.626
Ni4 0.123 0.626 0.626

Computed properties:
- Total energy: -5.473 eV per atom
- ρ: 9.8 g/cm³



Entry 3:
Below is a relaxed B5H9 crystal, with properties calculated at the PBE level.

Unit cell a=10.541 b=10.541 c=10.383 alpha=90.00 beta=90.00 gamma=90.00
Positions (direct):
B1 0.375 0.822 0.070
B2 0.178 0.375 0.320
B3 0.822 0.625 0.820
B4 0.625 0.178 0.570
B5 0.647 0.337 0.514
B6 0.663 0.647 0.764
B7 0.337 0.353 0.264
B8 0.353 0.663 0.014
B9 0.806 0.298 0.466
B10 0.702 0.806 0.716
B11 0.298 0.194 0.216
B12 0.194 0.702 0.966
B13 0.783 0.139 0.522
B14 0.861 0.783 0.772
B15 0.139 0.217 0.272
B16 0.217 0.861 0.022
B17 0.751 0.267 0.616
B18 0.733 0.751 0.866
B19 0.267 0.249 0.366
B20 0.249 0.733 0.116
B21 0.219 0.723 0.567
B22 0.277 0.219 0.817
B23 0.723 0.781 0.317
B24 0.781 0.277 0.067
B25 0.199 0.885 0.520
B26 0.115 0.199 0.770
B27 0.885 0.801 0.270
B28 0.801 0.115 0.020
B29 0.357 0.886 0.456
B30 0.114 0.357 0.706
B31 0.886 0.643 0.206
B32 0.643 0.114 0.956
B33 0.376 0.724 0.503
B34 0.276 0.376 0.753
B35 0.724 0.624 0.253
B36 0.624 0.276 0.003
B37 0.326 0.836 0.608
B38 0.164 0.326 0.858
B39 0.836 0.674 0.358
B40 0.674 0.164 0.108
H1 0.670 0.095 0.482
H2 0.905 0.670 0.732
H3 0.095 0.330 0.232
H4 0.330 0.905 0.982
H5 0.567 0.245 0.476
H6 0.755 0.567 0.726
H7 0.245 0.433 0.226
H8 0.433 0.755 0.976
H9 0.704 0.336 0.397
H10 0.664 0.704 0.647
H11 0.336 0.296 0.147
H12 0.296 0.664 0.897
H13 0.806 0.186 0.403
H14 0.814 0.806 0.653
H15 0.186 0.194 0.153
H16 0.194 0.814 0.903
H17 0.544 0.125 0.630
H18 0.875 0.544 0.880
H19 0.125 0.456 0.380
H20 0.456 0.875 0.130
H21 0.634 0.130 0.209
H22 0.870 0.634 0.459
H23 0.130 0.366 0.959
H24 0.366 0.870 0.709
H25 0.537 0.348 0.006
H26 0.652 0.537 0.256
H27 0.348 0.463 0.756
H28 0.463 0.652 0.506
H29 0.574 0.035 0.915
H30 0.965 0.574 0.165
H31 0.035 0.426 0.665
H32 0.426 0.965 0.415
H33 0.879 0.036 0.039
H34 0.964 0.879 0.289
H35 0.036 0.121 0.789
H36 0.121 0.964 0.539
H37 0.841 0.349 0.131
H38 0.651 0.841 0.381
H39 0.349 0.159 0.881
H40 0.159 0.651 0.631
H41 0.624 0.221 0.886
H42 0.779 0.624 0.136
H43 0.221 0.376 0.636
H44 0.376 0.779 0.386
H45 0.757 0.098 0.899
H46 0.902 0.757 0.149
H47 0.098 0.243 0.649
H48 0.243 0.902 0.399
H49 0.862 0.222 0.983
H50 0.778 0.862 0.233
H51 0.222 0.138 0.733
H52 0.138 0.778 0.483
H53 0.728 0.344 0.970
H54 0.656 0.728 0.220
H55 0.344 0.272 0.720
H56 0.272 0.656 0.470
H57 0.588 0.433 0.522
H58 0.567 0.588 0.772
H59 0.433 0.412 0.272
H60 0.412 0.567 0.022
H61 0.894 0.358 0.430
H62 0.642 0.894 0.680
H63 0.358 0.106 0.180
H64 0.106 0.642 0.930
H65 0.852 0.051 0.538
H66 0.949 0.852 0.788
H67 0.051 0.148 0.288
H68 0.148 0.949 0.038
H69 0.790 0.297 0.719
H70 0.703 0.790 0.969
H71 0.297 0.210 0.469
H72 0.210 0.703 0.219

Computed properties:
- Total energy: -4.615 eV per atom
- ρ: 0.7 g/cm³



Entry 4:
Below is a relaxed Ba2Ti6N2O11 crystal, with properties calculated at the PBE level.

Unit cell a=7.957 b=7.957 c=9.241 alpha=81.60 beta=81.60 gamma=28.74
Positions (direct):
Ba1 0.553 0.553 0.234
Ba2 0.451 0.451 0.774
Ti1 0.119 0.119 0.911
Ti2 0.168 0.168 0.560
Ti3 0.249 0.249 0.222
Ti4 0.763 0.763 0.767
Ti5 0.827 0.827 0.428
Ti6 0.875 0.875 0.103
N1 0.762 0.762 0.246
N2 0.361 0.361 0.103
O1 0.074 0.074 0.706
O2 0.126 0.126 0.391
O3 0.164 0.164 0.089
O4 0.639 0.639 0.885
O5 0.700 0.700 0.572
O6 0.240 0.240 0.760
O7 0.298 0.298 0.432
O8 0.834 0.834 0.905
O9 0.865 0.865 0.617
O10 0.928 0.928 0.298
O11 0.004 0.004 0.997

Computed properties:
- Total energy: -8.625 eV per atom
- ρ: 4.6 g/cm³
- Distance to the lowest polymorph of the same formula: 0.0 kJ per mole of atoms



Entry 5:
Below is a relaxed SiO2 crystal, with properties calculated at the PBE level.

Unit cell a=8.820 b=7.798 c=5.322 alpha=82.15 beta=61.15 gamma=36.71
Positions (direct):
Si1 0.563 0.563 0.937
Si2 0.313 0.313 0.687
Si3 0.687 0.687 0.313
Si4 0.937 0.937 0.563
O1 0.625 0.125 0.625
O2 0.625 0.625 0.125
O3 0.625 0.625 0.625
O4 0.125 0.625 0.625
O5 0.186 0.814 0.186
O6 0.814 0.186 0.814
O7 0.436 0.064 0.436
O8 0.064 0.436 0.064

Computed properties:
- Total energy: -7.898 eV per atom
- ρ: 2.4 g/cm³



Entry 6:
Below is a relaxed CrH2 crystal, with properties calculated at the PBE level.

Unit cell a=2.904 b=2.904 c=2.904 alpha=60.00 beta=60.00 gamma=60.00
Positions (direct):
Cr1 0.000 0.000 0.000
H1 0.750 0.750 0.750
H2 0.250 0.250 0.250

Computed properties:
- Total energy: -5.408 eV per atom
- ρ: 5.2 g/cm³



Computed values of E_form (unit: eV/f.u.) for the preceding records, in sequence: -11.2; -2.4; -2.3; -66.4; -9.7; -0.1.